Record 1
Here is crystalline EuMg2 at its relaxed geometry from the Materials Project. Energies are from PBE.

```
EuMg2
1.0
6.2446 0.0000 0.0000
-3.1223 5.4080 0.0000
0.0000 0.0000 10.4225
Eu Mg
4 8
direct
0.3333 0.6667 0.0609 Eu
0.3333 0.6667 0.4391 Eu
0.6667 0.3333 0.5609 Eu
0.6667 0.3333 0.9391 Eu
0.0000 0.0000 0.0000 Mg
0.0000 0.0000 0.5000 Mg
0.1682 0.3364 0.7500 Mg
0.1682 0.8318 0.7500 Mg
0.3364 0.1682 0.2500 Mg
0.6636 0.8318 0.7500 Mg
0.8318 0.1682 0.2500 Mg
0.8318 0.6636 0.2500 Mg
```

Theoretical density, g/cm3: 3.79
ΔH_f (0 K), meV per atom: -114
Space group: P6_3/mmc
Crystal system: hexagonal
E, eV per cell: -55.20

Record 2
Here is crystalline RbLaZr6FeCl18 at its relaxed geometry from the Materials Project. Energies are from PBE.

```
RbLaZr6FeCl18
1.0
9.8787 0.0000 0.0000
-4.9394 8.5552 0.0000
0.0000 0.0000 18.7645
Rb La Zr Fe Cl
2 2 12 2 36
direct
0.3333 0.6667 0.2500 Rb
0.6667 0.3333 0.7500 Rb
0.3333 0.6667 0.7500 La
0.6667 0.3333 0.2500 La
0.0406 0.2185 0.9253 Zr
0.0406 0.8221 0.5747 Zr
0.1779 0.2185 0.5747 Zr
0.1779 0.9594 0.9253 Zr
0.2185 0.0406 0.4253 Zr
0.2185 0.1779 0.0747 Zr
0.7815 0.8221 0.9253 Zr
0.7815 0.9594 0.5747 Zr
0.8221 0.0406 0.0747 Zr
0.8221 0.7815 0.4253 Zr
0.9594 0.1779 0.4253 Zr
0.9594 0.7815 0.0747 Zr
0.0000 0.0000 0.0000 Fe
0.0000 0.0000 0.5000 Fe
0.0424 0.2306 0.1580 Cl
0.0424 0.8119 0.3420 Cl
0.0784 0.4572 0.8372 Cl
0.0784 0.6212 0.6628 Cl
0.1466 0.4173 0.4992 Cl
0.1466 0.7293 0.0008 Cl
0.1881 0.2306 0.3420 Cl
0.1881 0.9576 0.1580 Cl
0.2306 0.0424 0.6580 Cl
0.2306 0.1881 0.8420 Cl
0.2707 0.4173 0.0008 Cl
0.2707 0.8534 0.4992 Cl
0.3788 0.4572 0.6628 Cl
0.3788 0.9216 0.8372 Cl
0.4173 0.1466 0.9992 Cl
0.4173 0.2707 0.5008 Cl
0.4572 0.0784 0.3372 Cl
0.4572 0.3788 0.1628 Cl
0.5428 0.6212 0.8372 Cl
0.5428 0.9216 0.6628 Cl
0.5827 0.7293 0.4992 Cl
0.5827 0.8534 0.0008 Cl
0.6212 0.0784 0.1628 Cl
0.6212 0.5428 0.3372 Cl
0.7293 0.1466 0.5008 Cl
0.7293 0.5827 0.9992 Cl
0.7694 0.8119 0.1580 Cl
0.7694 0.9576 0.3420 Cl
0.8119 0.0424 0.8420 Cl
0.8119 0.7694 0.6580 Cl
0.8534 0.2707 0.9992 Cl
0.8534 0.5827 0.5008 Cl
0.9216 0.3788 0.3372 Cl
0.9216 0.5428 0.1628 Cl
0.9576 0.1881 0.6580 Cl
0.9576 0.7694 0.8420 Cl
```

Theoretical density, g/cm3: 3.07
ΔH_f (0 K), meV per atom: -2216
Total magnetic moment, μB per cell: 0.017
Space group: P-31c
Crystal system: trigonal
E, eV per cell: -295.47

Record 3
Here is crystalline Mg14CuSi at its relaxed geometry from the Materials Project. Energies are from PBE.

```
Mg14CuSi
1.0
6.1732 0.0000 0.0000
-3.0866 5.3461 0.0000
0.0000 0.0000 10.1840
Mg Cu Si
14 1 1
direct
0.0000 0.0000 0.2484 Mg
0.0000 0.0000 0.7516 Mg
0.0086 0.5043 0.2475 Mg
0.0086 0.5043 0.7525 Mg
0.3323 0.1662 0.0000 Mg
0.3328 0.1664 0.5000 Mg
0.4957 0.5043 0.2475 Mg
0.4957 0.5043 0.7525 Mg
0.4957 0.9914 0.2475 Mg
0.4957 0.9914 0.7525 Mg
0.8338 0.1662 0.0000 Mg
0.8336 0.1664 0.5000 Mg
0.8336 0.6672 0.5000 Mg
0.8338 0.6677 0.0000 Mg
0.3333 0.6667 0.0000 Cu
0.3333 0.6667 0.5000 Si
```

Theoretical density, g/cm3: 2.13
ΔH_f (0 K), meV per atom: 36
Total magnetic moment, μB per cell: 0.021
Space group: P-6m2
Crystal system: hexagonal
E, eV per cell: -31.42

Record 4
Here is crystalline Er2Fe17H3 at its relaxed geometry from the Materials Project. Energies are from PBE.

```
Er2Fe17H3
1.0
8.5231 0.0000 0.0000
-4.2615 7.3812 0.0000
0.0000 0.0000 8.1906
Er Fe H
4 34 6
direct
0.0000 0.0000 0.2500 Er
0.0000 0.0000 0.7500 Er
0.3333 0.6667 0.2500 Er
0.6667 0.3333 0.7500 Er
0.0000 0.5000 0.0000 Fe
0.0000 0.5000 0.5000 Fe
0.0490 0.3775 0.7500 Fe
0.0490 0.6715 0.7500 Fe
0.1668 0.3335 0.0180 Fe
0.1668 0.3335 0.4820 Fe
0.1668 0.8332 0.0180 Fe
0.1668 0.8332 0.4820 Fe
0.3285 0.3775 0.7500 Fe
0.3285 0.9510 0.7500 Fe
0.3333 0.6667 0.6041 Fe
0.3333 0.6667 0.8959 Fe
0.3335 0.1668 0.5180 Fe
0.3335 0.1668 0.9820 Fe
0.3775 0.0490 0.2500 Fe
0.3775 0.3285 0.2500 Fe
0.5000 0.0000 0.0000 Fe
0.5000 0.0000 0.5000 Fe
0.5000 0.5000 0.0000 Fe
0.5000 0.5000 0.5000 Fe
0.6225 0.6715 0.7500 Fe
0.6225 0.9510 0.7500 Fe
0.6665 0.8332 0.0180 Fe
0.6665 0.8332 0.4820 Fe
0.6667 0.3333 0.1041 Fe
0.6667 0.3333 0.3959 Fe
0.6715 0.0490 0.2500 Fe
0.6715 0.6225 0.2500 Fe
0.8332 0.1668 0.5180 Fe
0.8332 0.1668 0.9820 Fe
0.8332 0.6665 0.5180 Fe
0.8332 0.6665 0.9820 Fe
0.9510 0.3285 0.2500 Fe
0.9510 0.6225 0.2500 Fe
0.1648 0.3295 0.2500 H
0.1648 0.8352 0.2500 H
0.3295 0.1648 0.7500 H
0.6705 0.8352 0.2500 H
0.8352 0.1648 0.7500 H
0.8352 0.6705 0.7500 H
```

Theoretical density, g/cm3: 8.29
ΔH_f (0 K), meV per atom: -90
Total magnetic moment, μB per cell: 74.553
Space group: P6_3/mmc
Crystal system: hexagonal
E, eV per cell: -329.48

Record 5
Here is crystalline NdP2Pt2 at its relaxed geometry from the Materials Project. Energies are from PBE.

```
NdP2Pt2
1.0
-2.1502 2.1502 9.6652
2.1502 -2.1502 9.6652
2.1502 2.1502 -9.6652
Nd P Pt
2 4 4
direct
0.1251 0.1251 0.0000 Nd
0.8749 0.8749 0.0000 Nd
0.2500 0.7500 0.5000 P
0.4305 0.4305 0.0000 P
0.5695 0.5695 0.0000 P
0.7500 0.2500 0.5000 P
0.0000 0.5000 0.5000 Pt
0.3069 0.3069 0.0000 Pt
0.5000 0.0000 0.5000 Pt
0.6931 0.6931 0.0000 Pt
```

Theoretical density, g/cm3: 11.08
ΔH_f (0 K), meV per atom: -967
Space group: I4/mmm
Crystal system: tetragonal
E, eV per cell: -65.14

Record 6
Here is crystalline MgInSe3 at its relaxed geometry from the Materials Project. Energies are from PBE.

```
MgInSe3
1.0
-5.7984 0.5832 -3.9308
-2.9078 -9.7379 2.8445
-1.6084 2.7821 7.8801
Se Mg In
12 4 4
direct
0.7153 0.1860 0.7782 Se
0.2847 0.8140 0.2218 Se
0.7847 0.3140 0.2218 Se
0.7847 0.6860 0.2218 Se
0.8055 0.5000 0.7569 Se
0.2153 0.3140 0.7782 Se
0.3055 0.0000 0.7569 Se
0.7153 0.8140 0.7782 Se
0.6945 0.0000 0.2431 Se
0.2847 0.1860 0.2218 Se
0.1945 0.5000 0.2431 Se
0.2153 0.6860 0.7782 Se
0.0000 0.3268 0.0000 Mg
0.5000 0.8268 0.0000 Mg
0.0000 0.6732 0.0000 Mg
0.5000 0.1732 0.0000 Mg
0.9492 0.0000 0.7757 In
0.4492 0.5000 0.7757 In
0.5508 0.5000 0.2243 In
0.0508 0.0000 0.2243 In
```

Theoretical density, g/cm3: 4.20
ΔH_f (0 K), meV per atom: -770
Total magnetic moment, μB per cell: 0.007
Energy above the most stable polymorph in this dataset, meV per atom: 13
E, eV per cell: -69.10

Record 7
Here is crystalline Rb2Li5B7O14 at its relaxed geometry from the Materials Project. Energies are from PBE.

```
Rb2Li5B7O14
1.0
20.8501 0.0000 0.0000
0.0000 6.8230 2.2267
0.0000 -6.8230 2.2267
Rb Li B O
4 10 14 28
direct
0.1558 0.1871 0.8129 Rb
0.3442 0.1871 0.8129 Rb
0.6558 0.8129 0.1871 Rb
0.8442 0.8129 0.1871 Rb
0.0118 0.0691 0.9009 Li
0.0644 0.4642 0.4979 Li
0.2500 0.8316 0.1730 Li
0.4356 0.4642 0.4979 Li
0.4882 0.0691 0.9009 Li
0.5118 0.9009 0.0691 Li
0.5644 0.4979 0.4642 Li
0.7500 0.1730 0.8316 Li
0.9356 0.4979 0.4642 Li
0.9882 0.9009 0.0691 Li
0.0069 0.7076 0.3075 B
0.1264 0.9345 0.0832 B
0.1894 0.4352 0.5761 B
0.2500 0.5908 0.4103 B
0.3106 0.4352 0.5761 B
0.3736 0.9345 0.0832 B
0.4931 0.7076 0.3075 B
0.5069 0.3075 0.7076 B
0.6264 0.0832 0.9345 B
0.6894 0.5761 0.4352 B
0.7500 0.4103 0.5908 B
0.8106 0.5761 0.4352 B
0.8736 0.0832 0.9345 B
0.9931 0.3075 0.7076 B
0.0084 0.0426 0.6046 O
0.0198 0.5243 0.3043 O
0.0731 0.8993 0.9472 O
0.1340 0.2131 0.4142 O
0.1747 0.7111 0.9235 O
0.1920 0.5398 0.4631 O
0.2500 0.2945 0.5250 O
0.2500 0.6868 0.3088 O
0.3080 0.5398 0.4631 O
0.3253 0.7111 0.9235 O
0.3660 0.2131 0.4142 O
0.4269 0.8993 0.9472 O
0.4802 0.5243 0.3043 O
0.4916 0.0426 0.6046 O
0.5084 0.6046 0.0426 O
0.5198 0.3043 0.5243 O
0.5731 0.9472 0.8993 O
0.6340 0.4142 0.2131 O
0.6747 0.9235 0.7111 O
0.6920 0.4631 0.5398 O
0.7500 0.3088 0.6868 O
0.7500 0.5250 0.2945 O
0.8080 0.4631 0.5398 O
0.8253 0.9235 0.7111 O
0.8660 0.4142 0.2131 O
0.9269 0.9472 0.8993 O
0.9802 0.3043 0.5243 O
0.9916 0.6046 0.0426 O
```

Theoretical density, g/cm3: 2.65
ΔH_f (0 K), meV per atom: -2710
Total magnetic moment, μB per cell: 0.001
Space group: Ama2
Crystal system: orthorhombic
E, eV per cell: -387.59

Record 8
Here is crystalline InRh3 at its relaxed geometry from the Materials Project. Energies are from PBE.

```
InRh3
1.0
5.6525 0.0000 0.0000
-2.8263 4.8952 0.0000
0.0000 0.0000 4.5461
In Rh
2 6
direct
0.3333 0.6667 0.2500 In
0.6667 0.3333 0.7500 In
0.1625 0.3251 0.7500 Rh
0.1625 0.8375 0.7500 Rh
0.3251 0.1625 0.2500 Rh
0.6749 0.8375 0.7500 Rh
0.8375 0.1625 0.2500 Rh
0.8375 0.6749 0.2500 Rh
```

Theoretical density, g/cm3: 11.18
ΔH_f (0 K), meV per atom: -147
Space group: P6_3/mmc
Crystal system: hexagonal
E, eV per cell: -50.87